Record 1
A relaxed Rb3Sn4Au crystal. Source: the Materials Project, functional r2SCAN.

Cell lengths 6.623, 7.274, 13.219 Å; angles 90.00, 90.00, 90.00 degrees
Atoms (fractional coordinates):
Rb 0.829 0.500 0.257
Rb 0.555 0.000 0.000
Sn 0.963 0.786 0.500
Rb 0.171 0.000 0.243
Au 0.317 0.000 0.500
Sn 0.331 0.500 0.882
Sn 0.963 0.214 0.500
Rb 0.445 0.500 0.500
Sn 0.037 0.286 0.000
Sn 0.669 0.000 0.618
Sn 0.331 0.500 0.118
Rb 0.829 0.500 0.743
Sn 0.669 0.000 0.382
Sn 0.037 0.714 0.000
Au 0.683 0.500 0.000
Rb 0.171 0.000 0.757

Its space-group type is Pmmn.

Record 2
A relaxed RbTeAu crystal. Source: the Materials Project, functional r2SCAN.

Cell lengths 5.138, 5.981, 7.267 Å; angles 90.00, 90.00, 90.00 degrees
Atoms (fractional coordinates):
Rb 0.500 0.250 0.713
Au 0.000 0.000 0.000
Au 0.000 0.500 0.000
Rb 0.500 0.750 0.287
Te 0.000 0.750 0.704
Te 0.000 0.250 0.296

Its space-group type is Pmma.

Record 3
A relaxed RbTeAu crystal. Source: the Materials Project, functional r2SCAN.

Cell lengths 4.734, 4.734, 10.490 Å; angles 90.00, 90.00, 120.00 degrees
Atoms (fractional coordinates):
Te 0.667 0.333 0.250
Au 0.333 0.667 0.250
Au 0.667 0.333 0.750
Rb 0.000 0.000 0.500
Te 0.333 0.667 0.750
Rb 0.000 0.000 0.000

Its space-group type is P6_3/mmc.

Record 4
A relaxed Zn2RhAu crystal. Source: the Materials Project, functional r2SCAN.

Cell lengths 4.327, 4.327, 4.327 Å; angles 60.00, 60.00, 60.00 degrees
Atoms (fractional coordinates):
Zn 0.500 0.500 0.500
Au 0.250 0.250 0.250
Rh 0.750 0.750 0.750
Zn 0.000 0.000 0.000

Its space-group type is Fm-3m.

Record 5
A relaxed Ta5AuS crystal. Source: the Materials Project, functional r2SCAN.

Cell lengths 8.880, 8.880, 8.879 Å; angles 60.00, 60.00, 60.00 degrees
Atoms (fractional coordinates):
Ta 0.668 0.995 0.668
Ta 0.995 0.668 0.668
S 0.369 0.369 0.369
S 0.369 0.893 0.369
Ta 0.697 0.303 0.303
Au 0.101 0.101 0.101
Ta 0.473 0.027 0.027
Ta 0.668 0.668 0.668
Ta 0.303 0.303 0.697
Ta 0.883 0.352 0.883
Au 0.697 0.101 0.101
Ta 0.697 0.303 0.697
Ta 0.473 0.473 0.027
Ta 0.352 0.883 0.883
Ta 0.668 0.668 0.995
Au 0.101 0.697 0.101
Au 0.101 0.101 0.697
Ta 0.303 0.697 0.303
Ta 0.027 0.027 0.473
Ta 0.027 0.473 0.027
Ta 0.027 0.473 0.473
Ta 0.473 0.027 0.473
S 0.369 0.369 0.893
Ta 0.883 0.883 0.883
Ta 0.697 0.697 0.303
S 0.893 0.369 0.369
Ta 0.883 0.883 0.352
Ta 0.303 0.697 0.697

Its space-group type is F-43m.

Record 6
A relaxed VAuS2 crystal. Source: the Materials Project, functional r2SCAN.

Cell lengths 3.224, 3.224, 15.023 Å; angles 90.00, 90.00, 120.00 degrees
Atoms (fractional coordinates):
Au 0.000 0.000 0.500
S 0.000 0.000 0.345
S 0.000 0.000 0.845
S 0.000 0.000 0.655
Au 0.000 0.000 0.000
V 0.333 0.667 0.250
V 0.667 0.333 0.750
S 0.000 0.000 0.155

Its space-group type is P6_3/mmc.

Record 7
A relaxed Sb2Au crystal. Source: the Materials Project, functional r2SCAN.

Cell lengths 6.736, 6.736, 6.736 Å; angles 90.00, 90.00, 90.00 degrees
Atoms (fractional coordinates):
Au 0.500 0.000 0.500
Sb 0.376 0.124 0.876
Sb 0.624 0.876 0.124
Sb 0.624 0.624 0.624
Sb 0.876 0.124 0.624
Sb 0.124 0.624 0.876
Sb 0.124 0.876 0.376
Sb 0.376 0.376 0.376
Sb 0.876 0.376 0.124
Au 0.000 0.000 0.000
Au 0.500 0.500 0.000
Au 0.000 0.500 0.500

Its space-group type is Pa-3.

Record 8
A relaxed Sb3Au crystal. Source: the Materials Project, functional r2SCAN.

Cell lengths 5.134, 5.134, 5.134 Å; angles 109.47, 109.47, 109.47 degrees
Atoms (fractional coordinates):
Sb 0.500 0.000 0.500
Sb 0.000 0.500 0.500
Sb 0.500 0.500 0.000
Au 0.000 0.000 0.000

Its space-group type is Im-3m.

Record 9
A relaxed Tm3Sb4Au3 crystal. Source: the Materials Project, functional r2SCAN.

Cell lengths 8.495, 8.495, 8.495 Å; angles 109.47, 109.47, 109.47 degrees
Atoms (fractional coordinates):
Sb 0.823 0.823 0.823
Tm 0.750 0.375 0.625
Au 0.375 0.250 0.625
Sb 0.323 0.323 0.323
Au 0.125 0.750 0.875
Sb 0.000 0.677 0.500
Tm 0.250 0.125 0.875
Au 0.875 0.125 0.750
Tm 0.375 0.625 0.750
Sb 0.500 0.000 0.177
Au 0.625 0.375 0.250
Au 0.250 0.625 0.375
Sb 0.677 0.500 0.000
Tm 0.625 0.750 0.375
Tm 0.875 0.250 0.125
Au 0.750 0.875 0.125
Tm 0.125 0.875 0.250
Sb 0.177 0.500 0.000
Sb 0.000 0.177 0.500
Sb 0.500 0.000 0.677

Its space-group type is I-43d.

Record 10
A relaxed Yb2SbAu crystal. Source: the Materials Project, functional r2SCAN.

Cell lengths 5.114, 5.114, 5.114 Å; angles 60.00, 60.00, 60.00 degrees
Atoms (fractional coordinates):
Sb 0.000 0.000 0.000
Au 0.500 0.500 0.500
Yb 0.250 0.250 0.250
Yb 0.750 0.750 0.750

Its space-group type is Fm-3m.

Record 11
A relaxed ScAu4 crystal. Source: the Materials Project, functional r2SCAN.

Cell lengths 4.066, 5.097, 5.097 Å; angles 80.84, 66.49, 66.49 degrees
Atoms (fractional coordinates):
Sc 0.000 0.000 0.000
Au 0.203 0.195 0.400
Au 0.398 0.400 0.805
Au 0.797 0.805 0.600
Au 0.602 0.600 0.195

Its space-group type is I4/m.

Record 12
A relaxed Sc2Au crystal. Source: the Materials Project, functional r2SCAN.

Cell lengths 4.673, 6.563, 8.352 Å; angles 90.00, 90.00, 90.00 degrees
Atoms (fractional coordinates):
Sc 0.750 0.983 0.316
Sc 0.750 0.847 0.922
Sc 0.250 0.017 0.684
Au 0.750 0.758 0.599
Au 0.750 0.258 0.901
Sc 0.250 0.153 0.078
Sc 0.250 0.653 0.422
Au 0.250 0.742 0.099
Sc 0.750 0.483 0.184
Sc 0.750 0.347 0.578
Au 0.250 0.242 0.401
Sc 0.250 0.517 0.816

Its space-group type is Pnma.

For the records above, the corresponding ΔH_f (0 K) values read -0.389 -0.793 -0.774 -0.336 -0.371 -0.814 -0.069 0.052 -0.874 -0.786 -0.588 -0.716 eV per atom.